CaNpH7O8, optimized geometry, DFT GGA-PBE; ΔE_f = -1998 meV/atom; space group = P2_1/c, No. 14; total moment = 0.0 μB per cell
1.0
-5.371 5.588 1.572
-6.096 -4.726 -4.031
-0.355 -6.993 8.736
Ca Np H O
4 4 28 32
direct
0.108 0.392 0.375 Ca
0.608 0.108 0.875 Ca
0.892 0.608 0.625 Ca
0.392 0.892 0.125 Ca
0.756 0.133 0.262 Np
0.256 0.367 0.762 Np
0.244 0.867 0.738 Np
0.744 0.633 0.238 Np
0.940 0.866 0.390 H
0.440 0.634 0.890 H
0.060 0.134 0.610 H
0.560 0.366 0.110 H
0.355 0.147 0.539 H
0.855 0.353 0.039 H
0.645 0.853 0.461 H
0.145 0.647 0.961 H
0.394 0.139 0.407 H
0.894 0.361 0.907 H
0.606 0.861 0.593 H
0.106 0.639 0.093 H
0.300 0.660 0.512 H
0.800 0.840 0.012 H
0.700 0.340 0.488 H
0.200 0.160 0.988 H
0.418 0.629 0.418 H
0.918 0.871 0.918 H
0.582 0.371 0.582 H
0.082 0.129 0.082 H
0.220 0.360 0.147 H
0.720 0.140 0.647 H
0.780 0.640 0.853 H
0.280 0.860 0.353 H
0.406 0.391 0.233 H
0.906 0.109 0.733 H
0.594 0.609 0.767 H
0.094 0.891 0.267 H
0.870 0.211 0.422 O
0.370 0.289 0.922 O
0.130 0.789 0.578 O
0.630 0.711 0.078 O
0.950 0.208 0.210 O
0.450 0.292 0.710 O
0.050 0.792 0.790 O
0.550 0.708 0.290 O
0.637 0.063 0.100 O
0.137 0.437 0.600 O
0.363 0.937 0.900 O
0.863 0.563 0.400 O
0.562 0.058 0.316 O
0.062 0.442 0.816 O
0.438 0.942 0.684 O
0.938 0.558 0.184 O
0.885 0.880 0.302 O
0.385 0.620 0.802 O
0.115 0.120 0.698 O
0.615 0.380 0.198 O
0.321 0.189 0.455 O
0.821 0.311 0.955 O
0.679 0.811 0.545 O
0.179 0.689 0.045 O
0.312 0.598 0.442 O
0.812 0.902 0.942 O
0.688 0.402 0.558 O
0.188 0.098 0.058 O
0.279 0.393 0.230 O
0.779 0.107 0.730 O
0.721 0.607 0.770 O
0.221 0.893 0.270 O

***

CaNpH9O9, optimized geometry, DFT GGA-PBE; ΔE_f = -1903 meV/atom; space group = P-1, No. 2; total moment = 0.0 μB per cell
1.0
-3.472 -4.989 -2.364
-3.015 -3.414 6.699
-8.192 2.174 -0.947
Ca Np H O
2 2 18 18
direct
0.178 0.286 0.872 Ca
0.822 0.714 0.128 Ca
0.500 0.500 0.000 Np
0.500 0.500 0.500 Np
0.792 0.558 0.665 H
0.208 0.442 0.335 H
0.925 0.287 0.237 H
0.075 0.713 0.763 H
0.105 0.124 0.244 H
0.895 0.876 0.756 H
0.068 0.155 0.598 H
0.932 0.845 0.402 H
0.827 0.227 0.726 H
0.173 0.773 0.274 H
0.176 0.930 0.846 H
0.824 0.070 0.154 H
0.356 0.903 0.937 H
0.644 0.097 0.063 H
0.664 0.041 0.593 H
0.336 0.959 0.407 H
0.647 0.847 0.640 H
0.353 0.153 0.360 H
0.485 0.725 0.050 O
0.515 0.275 0.950 O
0.801 0.455 0.994 O
0.199 0.545 0.006 O
0.796 0.462 0.342 O
0.204 0.538 0.658 O
0.526 0.273 0.601 O
0.474 0.727 0.399 O
0.628 0.581 0.703 O
0.372 0.419 0.297 O
0.016 0.186 0.173 O
0.984 0.814 0.827 O
0.987 0.213 0.704 O
0.013 0.787 0.296 O
0.285 0.986 0.865 O
0.715 0.014 0.135 O
0.754 0.926 0.594 O
0.246 0.074 0.406 O

***

Ca3H2O6, optimized geometry, DFT GGA-PBE; ΔE_f = -2082 meV/atom; space group = C2/m, No. 12; total moment = 0.0 μB per cell
1.0
2.168 5.676 0.000
-2.168 5.676 0.000
0.000 2.333 5.642
Ca H O
3 2 6
direct
0.000 0.000 0.000 Ca
0.688 0.688 0.285 Ca
0.312 0.312 0.715 Ca
0.179 0.179 0.438 H
0.821 0.821 0.562 H
0.616 0.616 0.982 O
0.126 0.126 0.611 O
0.874 0.874 0.389 O
0.760 0.760 0.857 O
0.384 0.384 0.018 O
0.240 0.240 0.143 O

***

CaPHO4, optimized geometry, DFT GGA-PBE; ΔE to the lowest computed polymorph = 0.0187 eV/atom; ΔE_f = -2782 meV/atom; space group = P2_1/c, No. 14; total moment = 0.0 μB per cell
1.0
-6.322 2.907 0.075
-1.681 -3.896 9.269
2.793 5.836 9.190
Ca P H O
8 8 8 32
direct
0.013 0.040 0.753 Ca
0.487 0.040 0.253 Ca
0.987 0.960 0.247 Ca
0.513 0.960 0.747 Ca
0.810 0.698 0.066 Ca
0.690 0.698 0.566 Ca
0.190 0.302 0.934 Ca
0.310 0.302 0.434 Ca
0.750 0.104 0.939 P
0.750 0.104 0.439 P
0.250 0.896 0.061 P
0.250 0.896 0.561 P
0.509 0.330 0.701 P
0.991 0.330 0.201 P
0.491 0.670 0.299 P
0.009 0.670 0.799 P
0.920 0.354 0.583 H
0.580 0.354 0.083 H
0.080 0.646 0.417 H
0.420 0.646 0.917 H
0.134 0.358 0.631 H
0.366 0.358 0.131 H
0.866 0.642 0.369 H
0.634 0.642 0.869 H
0.943 0.183 0.880 O
0.557 0.183 0.380 O
0.057 0.817 0.120 O
0.443 0.817 0.620 O
0.730 0.978 0.901 O
0.770 0.978 0.401 O
0.270 0.022 0.099 O
0.230 0.022 0.599 O
0.576 0.224 0.865 O
0.924 0.224 0.365 O
0.424 0.776 0.135 O
0.076 0.776 0.635 O
0.723 0.045 0.093 O
0.777 0.045 0.593 O
0.277 0.955 0.907 O
0.223 0.955 0.407 O
0.667 0.445 0.625 O
0.833 0.445 0.125 O
0.333 0.555 0.375 O
0.167 0.555 0.875 O
0.318 0.394 0.717 O
0.182 0.394 0.217 O
0.682 0.606 0.283 O
0.818 0.606 0.783 O
0.477 0.222 0.644 O
0.023 0.222 0.144 O
0.523 0.778 0.356 O
0.977 0.778 0.856 O
0.049 0.313 0.587 O
0.451 0.313 0.087 O
0.951 0.687 0.413 O
0.549 0.687 0.913 O

***

Ca2P2H4O9, optimized geometry, DFT GGA-PBE; ΔE_f = -2524 meV/atom; space group = P-1, No. 2; total moment = 0.0 μB per cell
1.0
6.747 0.000 0.000
2.165 7.084 0.000
1.836 0.177 8.135
Ca P H O
4 4 8 18
direct
0.311 0.248 0.495 Ca
0.689 0.752 0.505 Ca
0.257 0.867 0.245 Ca
0.743 0.133 0.755 Ca
0.261 0.990 0.813 P
0.739 0.010 0.187 P
0.167 0.712 0.644 P
0.833 0.288 0.356 P
0.098 0.522 0.262 H
0.902 0.478 0.738 H
0.328 0.462 0.151 H
0.672 0.538 0.849 H
0.342 0.235 0.976 H
0.658 0.765 0.024 H
0.317 0.421 0.866 H
0.683 0.579 0.134 H
0.254 0.019 0.992 O
0.746 0.981 0.008 O
0.480 0.985 0.701 O
0.520 0.015 0.299 O
0.093 0.136 0.736 O
0.907 0.864 0.264 O
0.223 0.783 0.805 O
0.777 0.217 0.195 O
0.179 0.503 0.681 O
0.821 0.497 0.319 O
0.339 0.743 0.499 O
0.661 0.257 0.501 O
0.943 0.829 0.628 O
0.057 0.171 0.372 O
0.250 0.508 0.262 O
0.750 0.492 0.738 O
0.408 0.339 0.937 O
0.592 0.661 0.063 O

***

CaP2H2O7, optimized geometry, DFT GGA-PBE; ΔE_f = -2583 meV/atom; space group = C2/c, No. 15; total moment = 0.0 μB per cell
1.0
4.068 3.747 0.000
-4.068 3.747 0.000
0.000 1.842 9.729
Ca P H O
2 4 4 14
direct
0.000 0.000 0.000 Ca
0.000 0.000 0.500 Ca
0.223 0.451 0.190 P
0.549 0.777 0.310 P
0.777 0.549 0.810 P
0.451 0.223 0.690 P
0.921 0.506 0.348 H
0.494 0.079 0.152 H
0.079 0.494 0.652 H
0.506 0.921 0.848 H
0.270 0.225 0.123 O
0.775 0.730 0.377 O
0.730 0.775 0.877 O
0.225 0.270 0.623 O
0.026 0.368 0.325 O
0.632 0.974 0.175 O
0.974 0.632 0.675 O
0.368 0.026 0.825 O
0.149 0.668 0.105 O
0.332 0.851 0.395 O
0.851 0.332 0.895 O
0.668 0.149 0.605 O
0.476 0.524 0.250 O
0.524 0.476 0.750 O